(1)
! CsCoH24S2O20 | Materials Project | GGA+U | relaxed; values from VASP
! calculated formation energy: -1.395 eV/atom
! calculated volume: 1881.5 Å³ per cell
! symmetry: Pa-3
! raw total energy: -5.17 eV per atom
&SYSTEM
  ibrav = 0, nat = 192, ntyp = 5
/
ATOMIC_SPECIES
Cs 132.91 Cs.upf
Co 58.93 Co.upf
H 1.01 H.upf
S 32.06 S.upf
O 16.00 O.upf
CELL_PARAMETERS angstrom
-8.7059 2.3220 -8.4392
-6.1740 -10.0663 3.5994
-6.2043 6.7589 8.2601
ATOMIC_POSITIONS crystal
Cs 0.0000 0.0000 0.5000
Cs 0.0000 0.5000 0.0000
Cs 0.5000 0.5000 0.5000
Cs 0.5000 0.0000 0.0000
Co 0.0000 0.0000 0.0000
Co 0.0000 0.5000 0.5000
Co 0.5000 0.0000 0.5000
Co 0.5000 0.5000 0.0000
H 0.9973 0.2073 0.2820
H 0.9973 0.2927 0.7820
H 0.0199 0.0573 0.2011
H 0.0199 0.4427 0.7011
H 0.0306 0.5737 0.6871
H 0.0306 0.9263 0.1871
H 0.0573 0.2011 0.0199
H 0.0573 0.2989 0.5199
H 0.0737 0.6871 0.4694
H 0.0737 0.8129 0.9694
H 0.1200 0.1764 0.2845
H 0.1200 0.3236 0.7845
H 0.1764 0.2845 0.1200
H 0.1764 0.2155 0.6200
H 0.1871 0.0306 0.9263
H 0.1871 0.4694 0.4263
H 0.2073 0.2820 0.9973
H 0.2073 0.2180 0.4973
H 0.2011 0.0199 0.0573
H 0.2011 0.4801 0.5573
H 0.2180 0.4973 0.2073
H 0.2180 0.0027 0.7073
H 0.2155 0.6200 0.1764
H 0.2155 0.8800 0.6764
H 0.2845 0.1200 0.1764
H 0.2845 0.3800 0.6764
H 0.2820 0.9973 0.2073
H 0.2820 0.5027 0.7073
H 0.2989 0.5199 0.0573
H 0.2989 0.9801 0.5573
H 0.2927 0.7820 0.9973
H 0.2927 0.7180 0.4973
H 0.3129 0.5306 0.9263
H 0.3129 0.9694 0.4263
H 0.3236 0.7845 0.1200
H 0.3236 0.7155 0.6200
H 0.3800 0.6764 0.2845
H 0.3800 0.8236 0.7845
H 0.4263 0.1871 0.4694
H 0.4263 0.3129 0.9694
H 0.4427 0.7989 0.5199
H 0.4427 0.7011 0.0199
H 0.4694 0.4263 0.1871
H 0.4694 0.0737 0.6871
H 0.4801 0.5573 0.2011
H 0.4801 0.9427 0.7011
H 0.5027 0.7073 0.2820
H 0.5027 0.7927 0.7820
H 0.4973 0.2073 0.2180
H 0.4973 0.2927 0.7180
H 0.5199 0.0573 0.2989
H 0.5199 0.4427 0.7989
H 0.5306 0.9263 0.3129
H 0.5306 0.5737 0.8129
H 0.5573 0.2011 0.4801
H 0.5573 0.2989 0.9801
H 0.5737 0.6871 0.0306
H 0.5737 0.8129 0.5306
H 0.6200 0.1764 0.2155
H 0.6200 0.3236 0.7155
H 0.6764 0.2155 0.8800
H 0.6764 0.2845 0.3800
H 0.6871 0.0306 0.5737
H 0.6871 0.4694 0.0737
H 0.7073 0.2180 0.0027
H 0.7073 0.2820 0.5027
H 0.7011 0.4801 0.9427
H 0.7011 0.0199 0.4427
H 0.7180 0.0027 0.7927
H 0.7180 0.4973 0.2927
H 0.7155 0.6200 0.3236
H 0.7155 0.8800 0.8236
H 0.7845 0.1200 0.3236
H 0.7845 0.3800 0.8236
H 0.7820 0.9973 0.2927
H 0.7820 0.5027 0.7927
H 0.7989 0.9801 0.9427
H 0.7989 0.5199 0.4427
H 0.7927 0.7180 0.0027
H 0.7927 0.7820 0.5027
H 0.8129 0.9694 0.0737
H 0.8129 0.5306 0.5737
H 0.8236 0.7155 0.8800
H 0.8236 0.7845 0.3800
H 0.8800 0.6764 0.2155
H 0.8800 0.8236 0.7155
H 0.9263 0.1871 0.0306
H 0.9263 0.3129 0.5306
H 0.9427 0.7989 0.9801
H 0.9427 0.7011 0.4801
H 0.9694 0.0737 0.8129
H 0.9694 0.4263 0.3129
H 0.9801 0.9427 0.7989
H 0.9801 0.5573 0.2989
H 0.0027 0.7073 0.2180
H 0.0027 0.7927 0.7180
S 0.1836 0.6836 0.8164
S 0.1836 0.8164 0.3164
S 0.3164 0.1836 0.8164
S 0.3164 0.3164 0.3164
S 0.6836 0.6836 0.6836
S 0.6836 0.8164 0.1836
S 0.8164 0.1836 0.6836
S 0.8164 0.3164 0.1836
O 0.9962 0.9928 0.1551
O 0.9962 0.5072 0.6551
O 0.0072 0.6551 0.5038
O 0.0072 0.8449 0.0038
O 0.0469 0.1448 0.2917
O 0.0469 0.3552 0.7917
O 0.0740 0.8260 0.2666
O 0.0740 0.6740 0.7667
O 0.1448 0.2917 0.0469
O 0.1448 0.2083 0.5469
O 0.1551 0.9962 0.9928
O 0.1551 0.5038 0.4928
O 0.1740 0.7667 0.4260
O 0.1740 0.7333 0.9260
O 0.2083 0.5469 0.1448
O 0.2083 0.9531 0.6448
O 0.2334 0.5740 0.8260
O 0.2334 0.9260 0.3260
O 0.2458 0.2458 0.2458
O 0.2458 0.2542 0.7458
O 0.2542 0.7458 0.2458
O 0.2542 0.7542 0.7458
O 0.2666 0.0740 0.8260
O 0.2666 0.4260 0.3260
O 0.2917 0.0469 0.1448
O 0.2917 0.4531 0.6448
O 0.3260 0.2666 0.4260
O 0.3260 0.2334 0.9260
O 0.3449 0.4962 0.9928
O 0.3449 0.0038 0.4928
O 0.3552 0.7083 0.5469
O 0.3552 0.7917 0.0469
O 0.4260 0.3260 0.2666
O 0.4260 0.1740 0.7667
O 0.4531 0.6448 0.2917
O 0.4531 0.8552 0.7917
O 0.4928 0.1551 0.5038
O 0.4928 0.3449 0.0038
O 0.5038 0.4928 0.1551
O 0.5038 0.0072 0.6551
O 0.4962 0.9928 0.3449
O 0.4962 0.5072 0.8449
O 0.5072 0.6551 0.9962
O 0.5072 0.8449 0.4962
O 0.5469 0.1448 0.2083
O 0.5469 0.3552 0.7083
O 0.5740 0.8260 0.2334
O 0.5740 0.6740 0.7333
O 0.6448 0.2083 0.9531
O 0.6448 0.2917 0.4531
O 0.6551 0.9962 0.5072
O 0.6551 0.5038 0.0072
O 0.6740 0.7333 0.5740
O 0.6740 0.7667 0.0740
O 0.7083 0.9531 0.8552
O 0.7083 0.5469 0.3552
O 0.7333 0.5740 0.6740
O 0.7333 0.9260 0.1740
O 0.7458 0.2458 0.2542
O 0.7458 0.2542 0.7542
O 0.7542 0.7458 0.2542
O 0.7542 0.7542 0.7542
O 0.7667 0.0740 0.6740
O 0.7667 0.4260 0.1740
O 0.7917 0.0469 0.3552
O 0.7917 0.4531 0.8552
O 0.8260 0.2334 0.5740
O 0.8260 0.2666 0.0740
O 0.8449 0.4962 0.5072
O 0.8449 0.0038 0.0072
O 0.8552 0.7083 0.9531
O 0.8552 0.7917 0.4531
O 0.9260 0.1740 0.7333
O 0.9260 0.3260 0.2334
O 0.9531 0.6448 0.2083
O 0.9531 0.8552 0.7083
O 0.9928 0.1551 0.9962
O 0.9928 0.3449 0.4962
O 0.0038 0.0072 0.8449
O 0.0038 0.4928 0.3449



(2)
! CsK2CoO2 | Materials Project | GGA+U | relaxed; values from VASP
! calculated formation energy: -1.243 eV/atom
! calculated volume: 567.4 Å³ per cell
! raw total energy: -4.09 eV per atom
&SYSTEM
  ibrav = 0, nat = 24, ntyp = 4
/
ATOMIC_SPECIES
Cs 132.91 Cs.upf
K 39.10 K.upf
Co 58.93 Co.upf
O 16.00 O.upf
CELL_PARAMETERS angstrom
5.5626 2.8328 -0.1185
3.8408 -5.9264 6.7928
2.2137 -8.2476 -4.8105
ATOMIC_POSITIONS crystal
Cs 0.7500 0.5000 0.2500
Cs 0.5000 0.0000 0.5000
Cs 0.2500 0.5000 0.7500
Cs 0.0000 0.0000 0.0000
K 0.3125 0.3750 0.4375
K 0.0625 0.8750 0.6875
K 0.8125 0.3750 0.9375
K 0.5625 0.8750 0.1875
K 0.1875 0.6250 0.0625
K 0.9375 0.1250 0.3125
K 0.6875 0.6250 0.5625
K 0.4375 0.1250 0.8125
Co 0.1250 0.7500 0.3750
Co 0.8750 0.2500 0.6250
Co 0.3750 0.2500 0.1250
Co 0.6250 0.7500 0.8750
O 0.3476 0.6610 0.3305
O 0.0976 0.1610 0.5805
O 0.8476 0.6610 0.8305
O 0.5976 0.1610 0.0805
O 0.1524 0.3390 0.1695
O 0.9024 0.8390 0.4195
O 0.6524 0.3390 0.6695
O 0.4024 0.8390 0.9195



(3)
! CsCoO2 | Materials Project | GGA+U | relaxed; values from VASP
! calculated formation energy: -1.402 eV/atom
! calculated volume: 310.9 Å³ per cell
! symmetry: P2
! raw total energy: -5.12 eV per atom
&SYSTEM
  ibrav = 0, nat = 16, ntyp = 3
/
ATOMIC_SPECIES
Cs 132.91 Cs.upf
Co 58.93 Co.upf
O 16.00 O.upf
CELL_PARAMETERS angstrom
-3.8020 -4.1593 -2.3300
1.5324 1.7118 -5.5189
6.3034 -5.7444 -0.0314
ATOMIC_POSITIONS crystal
Cs 0.0000 0.0000 0.4985
Cs 0.5000 0.5000 0.0045
Cs 0.5000 0.0000 0.7517
Cs 0.0000 0.5000 0.2455
Co 0.5000 0.5000 0.4986
Co 0.0000 0.5000 0.7514
Co 0.0000 0.0000 0.0011
Co 0.5000 0.0000 0.2493
O 0.2500 0.9989 0.1250
O 0.7500 0.5002 0.6249
O 0.5016 0.7428 0.3659
O 0.9987 0.2570 0.8839
O 0.4984 0.2572 0.3659
O 0.0013 0.7430 0.8839
O 0.7500 0.0011 0.1250
O 0.2500 0.4998 0.6249



(4)
! CsCoO2 | Materials Project | GGA+U | relaxed; values from VASP
! calculated formation energy: -1.424 eV/atom
! calculated volume: 154.2 Å³ per cell
! symmetry: F-43m
! raw total energy: -5.15 eV per atom
&SYSTEM
  ibrav = 0, nat = 8, ntyp = 3
/
ATOMIC_SPECIES
Cs 132.91 Cs.upf
Co 58.93 Co.upf
O 16.00 O.upf
CELL_PARAMETERS angstrom
0.0000 4.2562 -4.2562
0.0000 4.2561 4.2561
4.2561 0.0000 -4.2561
ATOMIC_POSITIONS crystal
Cs 0.5000 0.5000 0.0000
Cs 0.2500 0.2500 0.5000
Co 0.7500 0.7500 0.5000
Co 0.0000 0.0000 0.0000
O 0.8719 0.3842 0.2562
O 0.8719 0.8719 0.2562
O 0.8719 0.8719 0.7438
O 0.3842 0.8719 0.7438



(5)
! CsCoO2 | Materials Project | GGA+U | relaxed; values from VASP
! calculated formation energy: -1.442 eV/atom
! calculated volume: 323.4 Å³ per cell
! symmetry: C2/c
! raw total energy: -5.16 eV per atom
&SYSTEM
  ibrav = 0, nat = 16, ntyp = 3
/
ATOMIC_SPECIES
Cs 132.91 Cs.upf
Co 58.93 Co.upf
O 16.00 O.upf
CELL_PARAMETERS angstrom
-2.8836 -5.3868 -0.3346
-7.0559 0.3031 -0.0259
-0.0852 0.2323 -8.3045
ATOMIC_POSITIONS crystal
Cs 0.6661 0.1747 0.4303
Cs 0.1592 0.1747 0.0697
Cs 0.3339 0.8253 0.5697
Cs 0.8408 0.8253 0.9303
Co 0.9550 0.5919 0.3564
Co 0.4531 0.5919 0.1436
Co 0.0450 0.4081 0.6436
Co 0.5469 0.4081 0.8564
O 0.5976 0.3071 0.0741
O 0.0953 0.3071 0.4259
O 0.4024 0.6929 0.9259
O 0.9047 0.6929 0.5741
O 0.1529 0.6942 0.2500
O 0.8471 0.3058 0.7500
O 0.6709 0.6583 0.2500
O 0.3291 0.3417 0.7500



(6)
! Cs6Co2O7 | Materials Project | GGA+U | relaxed; values from VASP
! calculated formation energy: -1.477 eV/atom
! calculated volume: 726.3 Å³ per cell
! symmetry: P2_1/c
! raw total energy: -4.55 eV per atom
&SYSTEM
  ibrav = 0, nat = 30, ntyp = 3
/
ATOMIC_SPECIES
Cs 132.91 Cs.upf
Co 58.93 Co.upf
O 16.00 O.upf
CELL_PARAMETERS angstrom
-6.7835 -0.7163 7.1223
-2.0312 -6.5664 -2.5949
4.7302 -10.8950 3.4095
ATOMIC_POSITIONS crystal
Cs 0.2909 0.9105 0.7168
Cs 0.8570 0.4500 0.9160
Cs 0.9698 0.7001 0.5512
Cs 0.4698 0.2999 0.9488
Cs 0.2091 0.9105 0.2168
Cs 0.3570 0.5500 0.5840
Cs 0.6430 0.4500 0.4160
Cs 0.7909 0.0895 0.7832
Cs 0.5302 0.7001 0.0512
Cs 0.0302 0.2999 0.4488
Cs 0.1430 0.5500 0.0840
Cs 0.7091 0.0895 0.2832
Co 0.6367 0.8270 0.6280
Co 0.1367 0.1730 0.8720
Co 0.8633 0.8270 0.1280
Co 0.3633 0.1730 0.3720
O 0.2878 0.0028 0.9273
O 0.5886 0.7588 0.7884
O 0.5000 0.0000 0.5000
O 0.2122 0.0028 0.4273
O 0.1656 0.4253 0.8621
O 0.6656 0.5747 0.6379
O 0.9114 0.7588 0.2884
O 0.0000 0.0000 0.0000
O 0.0886 0.2412 0.7116
O 0.3344 0.4253 0.3621
O 0.8344 0.5747 0.1379
O 0.7878 0.9972 0.5727
O 0.4114 0.2412 0.2116
O 0.7122 0.9972 0.0727